Below is a geometry-optimized NdZr3F15 structure, with properties calculated at the PBE level. Values from VASP.

```
&SYSTEM
  ibrav = 0, nat = 19, ntyp = 3
/
ATOMIC_SPECIES
Nd 144.24 Nd.upf
Zr 91.22 Zr.upf
F 19.00 F.upf
CELL_PARAMETERS angstrom
-6.0550 2.1193 -3.9072
1.6286 -7.2777 -0.8961
-0.3559 2.0240 7.2248
ATOMIC_POSITIONS angstrom
Nd -4.7801 -3.1329 2.4204
Zr -1.0209 -4.2633 0.4861
Zr -1.8756 -0.2571 3.9838
Zr -4.3302 -0.2160 -0.8107
F -3.2484 -1.5722 -2.1676
F 0.2723 -3.6117 2.1456
F -0.1518 -1.6240 3.8810
F -2.6847 1.4738 2.8883
F -1.6064 -3.5803 -1.5241
F -3.9026 1.4941 0.5095
F 0.5903 -5.1246 -0.3461
F -0.7204 1.0187 5.0173
F -4.4843 1.0816 -2.3348
F -2.7191 -3.6266 1.3610
F -3.1577 -1.5707 3.1559
F -4.4173 -1.5497 0.6955
F -0.4965 -2.2906 0.2346
F -0.9638 -0.1001 2.1469
F -2.3059 -0.0777 -0.4745
```

The formation energy comes out at -4107 meV/atom. For the theoretical density, the calculation gives 4.2 Mg/m³. The value obtained for the energy with MP2020 corrections is -137.17 eV/cell. Its space group is R3m (160). The calculation puts the calculated total energy at -6.855 eV/atom.

---

Below is a geometry-optimized Sb7O6F9 structure, with properties calculated at the PBE level. Values from VASP.

```
&SYSTEM
  ibrav = 0, nat = 44, ntyp = 3
/
ATOMIC_SPECIES
Sb 121.76 Sb.upf
O 16.00 O.upf
F 19.00 F.upf
CELL_PARAMETERS angstrom
3.0437 -22.1669 0.0000
3.0437 22.1669 0.0000
0.0000 0.0000 5.8252
ATOMIC_POSITIONS angstrom
Sb 3.9049 7.6723 1.7731
Sb 3.9049 14.4945 1.7731
Sb 4.0873 1.1424 1.4594
Sb 1.0436 -1.1424 1.4594
Sb 1.6290 11.0834 1.5798
Sb 2.1919 4.6303 1.8458
Sb 5.2356 -4.6303 1.8458
Sb 2.1919 -4.6303 3.9794
Sb 5.2356 4.6303 3.9794
Sb 1.6290 -11.0834 4.2454
Sb 1.0436 1.1424 4.3658
Sb 4.0873 -1.1424 4.3658
Sb 3.9049 -14.4945 4.0521
Sb 3.9049 -7.6723 4.0521
O 0.2569 0.0000 0.0000
O 3.3006 0.0000 0.0000
O 2.5322 -15.6580 3.1092
O 2.5322 -6.5089 3.1092
O 0.8730 3.9535 3.2149
O 3.9167 -3.9535 3.2149
O 3.2624 0.0000 2.9126
O 0.2187 0.0000 2.9126
O 0.8730 -3.9535 2.6103
O 3.9167 3.9535 2.6103
O 2.5322 6.5089 2.7160
O 2.5322 15.6580 2.7160
F 2.2517 2.0193 1.3486
F 5.2954 -2.0193 1.3486
F 4.0139 6.2322 0.4269
F 0.9702 -6.2322 0.4269
F 3.7973 11.0834 0.1710
F 2.3359 13.5433 0.7915
F 2.3359 8.6235 0.7915
F 3.3032 -12.4074 2.2757
F 3.3032 -9.7595 2.2757
F 3.3032 9.7595 3.5495
F 3.3032 12.4074 3.5495
F 2.3359 -13.5433 5.0337
F 2.3359 -8.6235 5.0337
F 3.7973 -11.0834 5.6542
F 0.9702 6.2322 5.3983
F 4.0139 -6.2322 5.3983
F 5.2954 2.0193 4.4766
F 2.2517 -2.0193 4.4766
```

The formation energy comes out at -2234 meV/atom. For the theoretical density, the calculation gives 4.7 Mg/m³. The value obtained for the energy with MP2020 corrections is -249.93 eV/cell. Its space group is Aem2 (39). The total magnetization is 0.00 μB/f.u. The calculation puts the calculated total energy at -5.304 eV/atom.

---

Below is a geometry-optimized La2Si4CN6 structure, with properties calculated at the PBE level. Values from VASP.

```
&SYSTEM
  ibrav = 0, nat = 52, ntyp = 4
/
ATOMIC_SPECIES
La 138.91 La.upf
Si 28.09 Si.upf
C 12.01 C.upf
N 14.01 N.upf
CELL_PARAMETERS angstrom
5.2497 0.0000 0.0000
0.0000 11.6070 0.0000
0.0000 0.0000 13.5347
ATOMIC_POSITIONS angstrom
La 1.3124 10.6185 11.6600
La 3.9373 0.8857 7.9450
La 1.3124 4.9178 1.1777
La 3.9373 6.6892 12.3570
La 1.3124 4.8150 8.6420
La 1.3124 10.7213 5.5897
La 3.9373 6.7919 4.8926
La 3.9373 0.9884 1.8747
Si 1.3124 1.9110 13.5310
Si 1.3124 7.7145 6.7711
Si 0.0337 3.4837 4.2873
Si 3.9373 5.4997 9.4821
Si 5.2160 2.3198 11.0546
Si 1.3124 6.1072 4.0525
Si 5.2160 8.1233 9.2474
Si 3.9373 9.6960 0.0037
Si 2.5912 9.2872 2.4801
Si 3.9373 11.3032 10.8199
Si 2.6585 2.3198 11.0546
Si 3.9373 3.8925 6.7636
Si 1.3124 0.3038 2.7148
Si 0.0337 9.2872 2.4801
Si 2.5912 3.4837 4.2873
Si 2.6585 8.1233 9.2474
C 1.3124 2.2785 7.1625
C 3.9373 3.5250 0.3951
C 1.3124 8.0820 13.1396
C 3.9373 9.3285 6.3722
N 3.9373 2.4783 3.8579
N 2.6275 0.7302 10.4203
N 5.2470 6.5337 9.8817
N 2.6222 5.0733 3.6529
N 3.9373 8.2818 2.9095
N 5.1515 2.8335 0.5603
N 2.6222 10.8767 3.1144
N 5.2470 0.7302 10.4203
N 0.0027 5.0733 3.6529
N 2.7231 8.6370 6.2071
N 0.0982 2.9700 7.3276
N 2.7231 2.8335 0.5603
N 1.3124 9.1287 9.6768
N 1.3124 3.3252 10.6252
N 1.3124 0.9639 7.0306
N 0.0982 8.7735 12.9744
N 5.1515 8.6370 6.2071
N 3.9373 10.6431 6.5041
N 2.6275 6.5337 9.8817
N 2.5266 2.9700 7.3276
N 2.5266 8.7735 12.9744
N 1.3124 6.7674 13.2715
N 3.9373 4.8396 0.2632
N 0.0027 10.8767 3.1144
```

The formation energy comes out at -555 meV/atom. For the theoretical density, the calculation gives 3.9 Mg/m³. The value obtained for the energy with MP2020 corrections is -392.13 eV/cell. Its space group is Pnma (62). The total magnetization is 0.00 μB/f.u. The calculation puts the calculated total energy at -7.374 eV/atom. The energy relative to the lowest polymorph listed for this composition is 778 meV per atom.

---

Below is a geometry-optimized Mg14SiBiO16 structure, with properties calculated at the PBE level. Values from VASP.

```
&SYSTEM
  ibrav = 0, nat = 32, ntyp = 4
/
ATOMIC_SPECIES
Mg 24.30 Mg.upf
Si 28.09 Si.upf
Bi 208.98 Bi.upf
O 16.00 O.upf
CELL_PARAMETERS angstrom
-1.7044 -1.1397 8.3336
-4.3820 -7.5786 -1.9327
3.7565 -2.2882 0.4554
ATOMIC_POSITIONS angstrom
Mg -0.8522 -0.5699 4.1668
Mg -3.0432 -4.3591 3.2005
Mg 0.7947 -3.0180 -0.2502
Mg -1.4202 -6.8487 -1.2271
Mg -0.0573 -3.5876 3.9167
Mg -2.2726 -7.4188 2.9396
Mg 1.4523 -1.4289 2.3103
Mg -0.7558 -5.2296 1.4274
Mg 0.5998 -1.9990 6.4787
Mg -1.5742 -5.7768 5.4289
Mg -1.5234 -2.1781 1.6225
Mg -3.7195 -5.9761 0.6539
Mg -2.3670 -2.7422 5.7471
Mg -4.5630 -6.5402 4.7785
Si 0.0000 0.0000 0.0000
Bi -2.1910 -3.7893 -0.9663
O -0.3966 -0.2652 1.9392
O -2.6632 -4.1050 1.3422
O -1.3078 -0.8745 6.3944
O -3.4233 -4.6133 5.0587
O 0.3697 -3.3026 1.8259
O -1.8445 -7.1321 0.8493
O -0.4854 -3.8744 6.0070
O -2.6997 -7.7039 5.0304
O 1.8783 -1.1441 0.2277
O -0.3127 -4.9334 -0.7387
O 1.0260 -1.7139 4.3945
O -1.1650 -5.5032 3.4282
O -0.8045 -1.3914 -0.3548
O -3.5775 -6.1872 -1.5778
O -1.8928 -2.3696 3.7079
O -4.1936 -6.3487 2.6931
```

The formation energy comes out at -2654 meV/atom. For the theoretical density, the calculation gives 4.1 Mg/m³. The value obtained for the energy with MP2020 corrections is -195.80 eV/cell. Its space group is Pmmm (47). The total magnetization is 0.00 μB/f.u. The calculation puts the calculated total energy at -5.775 eV/atom. The energy relative to the lowest polymorph listed for this composition is 0 meV per atom.

---

Below is a geometry-optimized BaS4O13 structure, with properties calculated at the PBE level. Values from VASP.

```
&SYSTEM
  ibrav = 0, nat = 36, ntyp = 3
/
ATOMIC_SPECIES
Ba 137.33 Ba.upf
S 32.06 S.upf
O 16.00 O.upf
CELL_PARAMETERS angstrom
6.0303 4.7645 0.0000
-6.0303 4.7645 0.0000
0.0000 1.4659 9.7098
ATOMIC_POSITIONS angstrom
Ba 3.6718 5.1310 2.4275
Ba -3.6718 5.8640 7.2824
S -2.0740 4.3915 3.7028
S -2.0740 5.8706 1.1521
S 2.0740 6.6035 6.0070
S 2.0740 5.1244 8.5577
S 0.5475 2.9273 4.0965
S 0.5475 7.3347 0.7585
S -0.5475 8.0677 5.6134
S -0.5475 3.6603 8.9514
O -2.7026 3.2050 3.1965
O -2.7026 7.0571 1.6584
O 2.7026 7.7900 6.5133
O 2.7026 3.9379 8.0514
O -2.8733 5.3578 4.4015
O -2.8733 4.9043 0.4534
O 2.8733 5.6372 5.3083
O 2.8733 6.0907 9.2564
O -1.3284 5.1310 2.4275
O 1.3284 5.8640 7.2824
O -0.8200 4.1200 4.5398
O -0.8200 6.1421 0.3151
O 0.8200 6.8750 5.1700
O 0.8200 4.8529 9.3947
O 1.2977 3.7248 3.1598
O 1.2977 6.5372 1.6951
O -1.2977 7.2702 6.5500
O -1.2977 4.4578 8.0147
O 1.0915 2.8053 5.4265
O 1.0915 8.9227 9.1382
O -1.0915 8.1897 4.2833
O -1.0915 2.0723 0.5716
O -0.1728 1.7924 3.5731
O -0.1728 8.4696 1.2818
O 0.1728 9.2026 6.1367
O 0.1728 2.5254 8.4280
```

The formation energy comes out at -2003 meV/atom. For the theoretical density, the calculation gives 2.8 Mg/m³. The value obtained for the energy with MP2020 corrections is -237.69 eV/cell. Its space group is C2/c (15). The calculation puts the calculated total energy at -6.106 eV/atom.